(1)
Crystalline BaB2O8 at its relaxed geometry. Source: the Materials Project database, functional PBE.

Computed properties:
theoretical density = 2.85 g/cm3
M_tot = 1.6 Bohr magnetons per cell

Cell: 8.0988 16.2850 11.6524 Å, 90.00 119.46 90.00°
With the nearest neighbours (Å) after each atom.
Space group P2_1/c (No. 14)
Symmetry-distinct sites (fractional):
Ba: 0.0009 0.1716 0.2676 (multiplicity 4)  7 O 2.73-2.92
Ba: 0.4712 0.0897 0.7317 (multiplicity 4)  8 O 2.78-3.02
B: 0.2048 0.5291 0.9179 (multiplicity 4)  4 O 1.43-1.46
B: 0.2229 0.0111 0.9245 (multiplicity 4)  4 O 1.43-1.47
B: 0.2515 0.2155 0.0616 (multiplicity 4)  4 O 1.42-1.47
B: 0.2900 0.7357 0.0549 (multiplicity 4)  4 O 1.43-1.48
O: 0.0054 0.5106 0.8562 (multiplicity 4)  1 B 1.44
O: 0.0297 0.5178 0.3630 (multiplicity 4)  1 B 1.44
O: 0.1726 0.2052 0.5708 (multiplicity 4)  1 B 1.47
O: 0.1744 0.1923 0.9263 (multiplicity 4)  1 B 1.43
O: 0.1930 0.7119 0.9190 (multiplicity 4)  1 B 1.43
O: 0.2215 0.6830 0.5714 (multiplicity 4)  1 B 1.48
O: 0.2406 0.1652 0.1570 (multiplicity 4)  1 B 1.42
O: 0.2462 0.6853 0.1363 (multiplicity 4)  1 B 1.43
O: 0.2597 0.0782 0.8609 (multiplicity 4)  1 B 1.43
O: 0.2774 0.0535 0.4208 (multiplicity 4)  1 B 1.46
O: 0.2813 0.5918 0.8715 (multiplicity 4)  1 B 1.43
O: 0.2950 0.5425 0.0591 (multiplicity 4)  1 B 1.45
O: 0.3092 0.5655 0.4118 (multiplicity 4)  1 B 1.47
O: 0.3150 0.0193 0.0649 (multiplicity 4)  1 B 1.43
O: 0.4442 0.2443 0.1077 (multiplicity 4)  1 B 1.46
O: 0.4864 0.7404 0.6145 (multiplicity 4)  1 B 1.44



(2)
Crystalline BaB4O7 at its relaxed geometry. Source: the Materials Project database, functional PBE.

Computed properties:
polymorph energy (0 for the lowest one) = 0.029 eV per atom
theoretical density = 4.42 g/cm3
M_tot = 0.0 Bohr magnetons per cell

Cell: 9.0979 11.1072 4.3484 Å, 90.00 90.00 90.00°
With the nearest neighbours (Å) after each atom.
Space group Pnma (No. 62)
Symmetry-distinct sites (fractional):
Ba: 0.1474 0.2500 0.2311 (multiplicity 4)  9 O 2.73-2.90
B: 0.0892 0.6263 0.2059 (multiplicity 8)  4 O 1.46-1.57
B: 0.1580 0.0006 0.7231 (multiplicity 8)  3 O 1.42-1.55
O: 0.0635 0.1042 0.7057 (multiplicity 8)  2 B 1.44-1.46
O: 0.1098 0.6057 0.8758 (multiplicity 8)  2 B 1.42-1.47
O: 0.1326 0.7500 0.2849 (multiplicity 4)  2 B 1.47
O: 0.1956 0.5384 0.3787 (multiplicity 8)  3 B 1.55-1.60



(3)
Crystalline BaBO3 at its relaxed geometry. Source: the Materials Project database, functional PBE.

Computed properties:
theoretical density = 6.06 g/cm3
M_tot = 1.0 Bohr magnetons per cell

Cell: 3.7739 3.7739 3.7739 Å, 90.00 90.00 90.00°
With the nearest neighbours (Å) after each atom.
Space group Pm-3m (No. 221)
Symmetry-distinct sites (fractional):
Ba: 0.0000 0.0000 0.0000 (multiplicity 1)  12 O 2.67
B: 0.5000 0.5000 0.5000 (multiplicity 1)  6 O 1.89
O: 0.0000 0.5000 0.5000 (multiplicity 3)  2 B 1.89



(4)
Crystalline Ba2B5O11 at its relaxed geometry. Source: the Materials Project database, functional PBE.

Computed properties:
theoretical density = 3.68 g/cm3
M_tot = 3.7 Bohr magnetons per cell

Cell: 6.7998 16.6091 8.4007 Å, 90.00 106.28 90.00°
With the nearest neighbours (Å) after each atom.
Space group P2_1/c (No. 14)
Symmetry-distinct sites (fractional):
Ba: 0.0317 0.2160 0.1000 (multiplicity 4)  8 O 2.64-2.90
Ba: 0.4019 0.5677 0.1909 (multiplicity 4)  7 O 2.69-2.98
B: 0.1405 0.0189 0.2865 (multiplicity 4)  4 O 1.45-1.48
B: 0.1396 0.0824 0.7914 (multiplicity 4)  3 O 1.37-1.39
B: 0.2322 0.6286 0.7563 (multiplicity 4)  4 O 1.45-1.53
B: 0.4762 0.7421 0.8653 (multiplicity 4)  3 O 1.38
B: 0.4865 0.1621 0.8772 (multiplicity 4)  4 O 1.46-1.50
O: 0.0008 0.6428 0.7060 (multiplicity 4)  2 B 1.39-1.53
O: 0.0658 0.6659 0.1337 (multiplicity 4)  1 O 2.23
O: 0.0730 0.0049 0.7454 (multiplicity 4)  2 B 1.38-1.45
O: 0.1886 0.0623 0.1524 (multiplicity 4)  1 B 1.45
O: 0.2056 0.0853 0.4061 (multiplicity 4)  1 B 1.47
O: 0.2807 0.5502 0.8406 (multiplicity 4)  2 B 1.48
O: 0.3029 0.6384 0.6092 (multiplicity 4)  2 B 1.45-1.46
O: 0.3209 0.6925 0.8833 (multiplicity 4)  2 B 1.38-1.51
O: 0.3468 0.0923 0.8249 (multiplicity 4)  2 B 1.37-1.48
O: 0.4243 0.2294 0.7548 (multiplicity 4)  2 B 1.38-1.50
O: 0.4626 0.1897 0.0402 (multiplicity 4)  2 B 1.38-1.50



(5)
Crystalline Ba3B2O6 at its relaxed geometry. Source: the Materials Project database, functional PBE.

Computed properties:
theoretical density = 4.75 g/cm3

Cell: 9.5979 9.5979 13.9175 Å, 90.00 90.00 120.00°
With the nearest neighbours (Å) after each atom.
Space group R-3c (No. 167, hexagonal axes)
Symmetry-distinct sites (fractional):
Ba: 0.0000 0.3485 0.2500 (multiplicity 18)  6 O 2.70-2.75
B: 0.0000 0.0000 0.1154 (multiplicity 12)  3 O 1.40
O: 0.0064 0.1492 0.3851 (multiplicity 36)  1 B 1.40



(6)
Crystalline Ba3B2O6 at its relaxed geometry. Source: the Materials Project database, functional PBE.

Computed properties:
theoretical density = 4.52 g/cm3
M_tot = 0.0 Bohr magnetons per cell

Cell: 5.2746 7.1544 10.3044 Å, 90.00 90.00 90.00°
With the nearest neighbours (Å) after each atom.
Space group Pnnm (No. 58)
Symmetry-distinct sites (fractional):
Ba: 0.0000 0.0000 0.0000 (multiplicity 2)  6 O 2.64-2.74
Ba: 0.0000 0.5000 0.1892 (multiplicity 4)  6 O 2.72-2.78
B: 0.0285 0.2343 0.5000 (multiplicity 4)  3 O 1.39-1.41
O: 0.1583 0.2655 0.3826 (multiplicity 8)  1 B 1.41
O: 0.2280 0.8101 0.5000 (multiplicity 4)  1 B 1.39



(7)
Crystalline BaB4O7 at its relaxed geometry. Source: the Materials Project database, functional PBE.

Computed properties:
polymorph energy (0 for the lowest one) = 0.000 eV per atom
theoretical density = 3.40 g/cm3

Cell: 10.7379 8.3651 13.1775 Å, 90.00 105.04 90.00°
With the nearest neighbours (Å) after each atom.
Space group P2_1/c (No. 14)
Symmetry-distinct sites (fractional):
Ba: 0.0384 0.2374 0.3936 (multiplicity 4)  6 O 2.68-2.97
Ba: 0.3924 0.6182 0.2961 (multiplicity 4)  7 O 2.75-3.05
B: 0.1029 0.6748 0.8937 (multiplicity 4)  3 O 1.38-1.39
B: 0.1327 0.1376 0.6874 (multiplicity 4)  4 O 1.46-1.54
B: 0.2124 0.5817 0.0736 (multiplicity 4)  4 O 1.47-1.50
B: 0.2222 0.1175 0.1191 (multiplicity 4)  3 O 1.37-1.38
B: 0.2538 0.6370 0.5165 (multiplicity 4)  4 O 1.46-1.52
B: 0.3170 0.1935 0.3058 (multiplicity 4)  4 O 1.45-1.53
B: 0.3621 0.0917 0.4930 (multiplicity 4)  3 O 1.36-1.41
B: 0.4897 0.7160 0.5522 (multiplicity 4)  3 O 1.37-1.40
O: 0.0066 0.6464 0.8021 (multiplicity 4)  2 B 1.39-1.54
O: 0.1122 0.5655 0.9740 (multiplicity 4)  2 B 1.38-1.47
O: 0.1390 0.2463 0.1047 (multiplicity 4)  2 B 1.38-1.47
O: 0.1633 0.5252 0.1614 (multiplicity 4)  2 B 1.46-1.47
O: 0.1828 0.6940 0.4074 (multiplicity 4)  2 B 1.38-1.52
O: 0.1980 0.0185 0.0329 (multiplicity 4)  2 B 1.37-1.47
O: 0.2185 0.1833 0.7885 (multiplicity 4)  2 B 1.45-1.46
O: 0.2419 0.7491 0.5980 (multiplicity 4)  2 B 1.46-1.47
O: 0.2961 0.0846 0.3894 (multiplicity 4)  2 B 1.37-1.49
O: 0.3189 0.0988 0.2108 (multiplicity 4)  2 B 1.38-1.49
O: 0.3328 0.0080 0.5723 (multiplicity 4)  2 B 1.36-1.50
O: 0.3909 0.6112 0.5139 (multiplicity 4)  2 B 1.37-1.50
O: 0.4483 0.2255 0.8427 (multiplicity 4)  2 B 1.37-1.53
O: 0.4685 0.1966 0.5235 (multiplicity 4)  2 B 1.40-1.41



(8)
Crystalline BaB5O10 at its relaxed geometry. Source: the Materials Project database, functional PBE.

Computed properties:
polymorph energy (0 for the lowest one) = 0.000 eV per atom
theoretical density = 2.96 g/cm3
M_tot = 6.0 Bohr magnetons per cell

Cell: 6.8880 6.9276 9.6532 Å, 79.20 87.48 60.68°
With the nearest neighbours (Å) after each atom.
Space group P-1 (No. 2)
Symmetry-distinct sites (fractional):
Ba: 0.1851 0.1011 0.1481 (multiplicity 2)  5 O 2.64-2.95
B: 0.1281 0.2491 0.7960 (multiplicity 2)  4 O 1.46-1.51
B: 0.1836 0.1285 0.5689 (multiplicity 2)  3 O 1.36-1.40
B: 0.2931 0.5093 0.1581 (multiplicity 2)  3 O 1.37-1.39
B: 0.3230 0.8252 0.7973 (multiplicity 2)  4 O 1.46-1.49
B: 0.3875 0.4297 0.8230 (multiplicity 2)  3 O 1.36-1.42
O: 0.0698 0.5829 0.1402 (multiplicity 2)  2 B 1.37-1.49
O: 0.0894 0.2993 0.6429 (multiplicity 2)  2 B 1.36-1.46
O: 0.1547 0.1544 0.4255 (multiplicity 2)  1 B 1.37
O: 0.1729 0.0172 0.8613 (multiplicity 2)  2 B 1.46-1.49
O: 0.2466 0.6541 0.8202 (multiplicity 2)  2 B 1.37-1.49
O: 0.3060 0.8027 0.4588 (multiplicity 2)  2 O 2.07-2.09
O: 0.3205 0.9092 0.6432 (multiplicity 2)  2 B 1.40-1.49
O: 0.3297 0.2654 0.8340 (multiplicity 2)  2 B 1.36-1.51
O: 0.3792 0.6480 0.1771 (multiplicity 2)  2 B 1.39-1.42
O: 0.4411 0.2889 0.1479 (multiplicity 2)  2 B 1.38-1.49



no.,raw total energy (eV/atom)
1,-5.7656
2,-7.8660
3,-5.8502
4,-7.3810
5,-7.2128
6,-7.1633
7,-7.8947
8,-7.4267